# LiMnP2O7, relaxed, DFT PBE+U
data_LiMnP2O7
_chemical_formula_sum 'Li4 Mn4 P8 O28'
_symmetry_space_group_name_H-M 'P 1'
_symmetry_Int_Tables_number 1
_cell_length_a 5.167
_cell_length_b 8.412
_cell_length_c 13.864
_cell_angle_alpha 63.14
_cell_angle_beta 90.00
_cell_angle_gamma 90.00
loop_
_symmetry_equiv_pos_as_xyz
'x,y,z'
loop_
_atom_site_label
_atom_site_type_symbol
_atom_site_fract_x
_atom_site_fract_y
_atom_site_fract_z
O1 O 0.152 0.187 0.637
O2 O 0.934 0.012 0.391
O3 O 0.469 0.666 0.243
O4 O 0.531 0.666 0.743
O5 O 0.689 0.303 0.623
O6 O 0.556 0.484 0.942
O7 O 0.808 0.825 0.096
O8 O 0.920 0.518 0.068
O9 O 0.010 0.327 0.257
O10 O 0.393 0.983 0.110
O11 O 0.209 0.729 0.856
O12 O 0.865 0.270 0.438
O13 O 0.066 0.012 0.891
O14 O 0.192 0.825 0.596
O15 O 0.631 0.724 0.558
O16 O 0.990 0.327 0.757
O17 O 0.321 0.180 0.415
O18 O 0.791 0.729 0.356
O19 O 0.308 0.800 0.365
O20 O 0.692 0.800 0.865
O21 O 0.848 0.187 0.137
O22 O 0.080 0.518 0.568
O23 O 0.679 0.180 0.915
O24 O 0.135 0.270 0.938
O25 O 0.444 0.484 0.442
O26 O 0.369 0.724 0.058
O27 O 0.607 0.983 0.610
O28 O 0.311 0.303 0.123
Mn1 Mn 0.000 0.768 0.474
Mn2 Mn 0.481 0.234 0.015
Mn3 Mn 0.000 0.768 0.974
Mn4 Mn 0.519 0.234 0.515
P1 P 0.491 0.675 0.856
P2 P 0.023 0.328 0.141
P3 P 0.516 0.809 0.119
P4 P 0.977 0.328 0.641
P5 P 0.965 0.190 0.884
P6 P 0.509 0.675 0.356
P7 P 0.484 0.809 0.619
P8 P 0.035 0.190 0.384
Li1 Li 0.539 0.503 0.082
Li2 Li 0.461 0.503 0.582
Li3 Li 0.996 0.940 0.689
Li4 Li 0.004 0.940 0.189
# - Distance to the lowest polymorph of the same formula: 32.3 meV per atom
# - Electronic total energy: -311.69 eV/cell
# - ΔE_f: -27.87 eV/f.u.